A relaxed Li10Mg7Cl24 crystal, computed with PBE.

Properties
* crystal system: monoclinic
* E_tot: -299.7 eV/cell
* DFT formation energy: -2.194 eV per atom

abc: 7.435 7.435 36.330
angles: 89.91 89.91 60.25
Positions (direct):
Cl1 0.658 0.658 0.042
Mg1 0.499 0.499 0.997
Cl2 0.338 0.812 0.456
Li1 0.833 0.833 0.333
Mg2 0.167 0.667 0.417
Cl3 0.809 0.338 0.958
Cl4 0.526 0.992 0.876
Li2 0.841 0.841 0.523
Li3 0.167 0.167 0.168
Cl5 0.327 0.327 0.210
Cl6 0.837 0.837 0.954
Cl7 0.004 0.004 0.123
Cl8 0.170 0.170 0.289
Cl9 0.504 0.504 0.622
Mg3 0.831 0.831 0.831
Cl10 0.478 0.005 0.623
Cl11 0.660 0.660 0.544
Cl12 0.497 0.497 0.378
Cl13 0.671 0.145 0.289
Cl14 0.505 0.505 0.121
Li4 0.841 0.841 0.020
Li5 0.826 0.826 0.644
Cl15 0.338 0.809 0.958
Cl16 0.674 0.674 0.790
Cl17 0.481 0.004 0.123
Cl18 0.340 0.340 0.456
Cl19 0.170 0.170 0.788
Cl20 0.996 0.522 0.377
Cl21 0.004 0.481 0.123
Cl22 0.145 0.671 0.289
Mg4 0.667 0.167 0.417
Li6 0.667 0.667 0.417
Cl23 0.830 0.830 0.212
Cl24 0.673 0.673 0.290
Li7 0.174 0.174 0.356
Li8 0.327 0.327 0.084
Li9 0.825 0.825 0.146
Cl25 0.662 0.189 0.544
Li10 0.500 0.500 0.500
Li11 0.000 0.000 0.250
Cl26 0.161 0.161 0.047
Cl27 0.830 0.830 0.711
Cl28 0.837 0.837 0.455
Mg5 0.000 0.500 0.250
Mg6 0.997 0.503 0.750
Cl29 0.855 0.329 0.210
Li12 0.000 0.000 0.749
Mg7 0.660 0.178 0.917
Cl30 0.991 0.991 0.876
Mg8 0.329 0.842 0.084
Cl31 0.138 0.675 0.791
Mg9 0.842 0.329 0.084
Cl32 0.992 0.526 0.876
Mg10 0.503 0.997 0.750
Cl33 0.194 0.658 0.042
Li13 0.167 0.167 0.667
Cl34 0.658 0.194 0.042
Cl35 0.163 0.163 0.545
Cl36 0.522 0.996 0.377
Cl37 0.856 0.329 0.711
Mg11 0.833 0.334 0.583
Cl38 0.327 0.327 0.711
Li14 0.508 0.508 0.189
Li15 0.333 0.333 0.583
Li16 0.159 0.159 0.477
Cl39 0.812 0.338 0.456
Li17 0.507 0.507 0.690
Mg12 0.178 0.660 0.917
Mg13 0.500 0.000 0.250
Cl40 0.005 0.478 0.623
Li18 0.492 0.492 0.311
Cl41 0.329 0.855 0.210
Cl42 0.675 0.138 0.791
Li19 0.659 0.659 0.918
Cl43 0.329 0.856 0.711
Cl44 0.339 0.339 0.957
Cl45 0.189 0.662 0.544
Cl46 0.495 0.495 0.879
Cl47 0.993 0.993 0.377
Cl48 0.007 0.007 0.623
Mg14 0.334 0.833 0.583
Li20 0.174 0.174 0.854

---

A relaxed Li2Zr6MnCl15 crystal, computed with PBE.

Properties
* crystal system: tetragonal
* E_tot: -131.1 eV/cell
* DFT formation energy: -2.012 eV per atom

abc: 9.150 9.150 9.150
angles: 108.96 108.96 110.50
Positions (direct):
Cl1 0.500 0.000 0.500
Cl2 0.758 0.242 0.000
Zr1 0.773 0.000 0.773
Cl3 0.508 0.755 0.753
Cl4 0.492 0.245 0.247
Cl5 0.500 0.500 0.000
Li1 0.750 0.250 0.500
Mn1 0.000 0.000 0.000
Cl6 0.999 0.245 0.753
Zr2 0.227 0.000 0.227
Li2 0.250 0.750 0.500
Zr3 0.236 0.236 0.000
Cl7 0.758 0.758 0.517
Cl8 0.001 0.755 0.247
Zr4 0.000 0.773 0.773
Cl9 0.242 0.758 0.000
Cl10 0.242 0.242 0.483
Zr5 0.764 0.764 0.000
Cl11 0.245 0.999 0.753
Cl12 0.245 0.492 0.247
Cl13 0.755 0.508 0.753
Cl14 0.000 0.500 0.500
Zr6 0.000 0.227 0.227
Cl15 0.755 0.001 0.247

---

A relaxed Rb2LiMoCl6 crystal, computed with PBE.

Properties
* crystal system: cubic
* E_tot: -40.8 eV/cell
* DFT formation energy: -1.872 eV per atom

abc: 7.193 7.193 7.193
angles: 60.00 60.00 60.00
Positions (direct):
Rb1 0.250 0.250 0.250
Mo1 0.000 0.000 0.000
Cl1 0.243 0.757 0.243
Rb2 0.750 0.750 0.750
Li1 0.500 0.500 0.500
Cl2 0.757 0.757 0.243
Cl3 0.757 0.243 0.757
Cl4 0.243 0.757 0.757
Cl5 0.757 0.243 0.243
Cl6 0.243 0.243 0.757

---

A relaxed LiTiNCl crystal, computed with PBE.

Properties
* crystal system: orthorhombic
* E_tot: -51.9 eV/cell
* DFT formation energy: -1.639 eV per atom

abc: 3.375 4.111 8.125
angles: 90.00 90.00 90.00
Positions (direct):
Cl1 0.500 0.500 0.346
N1 0.500 0.500 0.918
Cl2 0.000 0.000 0.654
Ti1 0.500 0.000 0.948
Li1 0.000 0.000 0.335
Li2 0.500 0.500 0.665
N2 0.000 0.000 0.082
Ti2 0.000 0.500 0.052